(1)
# Be4Si2O9 | the Materials Project database | GGA-PBE | relaxed
data_Be4Si2O9
_chemical_formula_sum 'Be16 Si8 O36'
_cell_length_a 8.3825
_cell_length_b 14.4364
_cell_length_c 4.6670
_cell_angle_alpha 90.00
_cell_angle_beta 90.00
_cell_angle_gamma 90.00
_symmetry_space_group_name_H-M 'C m c 21'
_symmetry_Int_Tables_number 36
loop_
_symmetry_equiv_pos_as_xyz
'x,y,z'
'-x,-y,z+1/2'
'-x,y,z'
'x,-y,z+1/2'
'x+1/2,y+1/2,z'
'-x+1/2,-y+1/2,z+1/2'
'-x+1/2,y+1/2,z'
'x+1/2,-y+1/2,z+1/2'
loop_
_atom_site_label
_atom_site_fract_x
_atom_site_fract_y
_atom_site_fract_z
_atom_site_occupancy
Be1 0.1680 0.2237 0.0000 1
Be2 0.1687 0.4424 0.3188 1
Si1 0.0000 0.0613 0.8017 1
Si2 0.0000 0.3901 0.8248 1
O1 0.0000 0.0395 0.4610 1
O2 0.0000 0.2819 0.9333 1
O3 0.0000 0.3968 0.4691 1
O4 0.1544 0.4486 0.9587 1
O5 0.1661 0.1147 0.8927 1
O6 0.1879 0.2237 0.3404 1
# E above lowest polymorph: 99 meV/atom
# energy of formation from the pure elements: -2.74 eV per atom

---

(2)
# Be2SiO4 | the Materials Project database | GGA-PBE | relaxed
data_Be2SiO4
_chemical_formula_sum 'Be36 Si18 O72'
_cell_length_a 12.5730
_cell_length_b 12.5730
_cell_length_c 8.3120
_cell_angle_alpha 90.00
_cell_angle_beta 90.00
_cell_angle_gamma 120.00
_symmetry_space_group_name_H-M 'R -3'
_symmetry_Int_Tables_number 148
_symmetry_space_group_name_Hall '-R 3'
loop_
_atom_site_label
_atom_site_fract_x
_atom_site_fract_y
_atom_site_fract_z
_atom_site_occupancy
Be1 0.0155 0.2098 0.4156 1
Be2 0.0171 0.2115 0.0844 1
Si1 0.0157 0.2113 0.7500 1
O1 0.9999 0.3327 0.4166 1
O2 0.0865 0.2084 0.5845 1
O3 0.0875 0.2096 0.9155 1
O4 0.0875 0.2092 0.2497 1
# E above lowest polymorph: 0 meV/atom
# energy of formation from the pure elements: -3.18 eV per atom

---

(3)
# Be4Si2O9 | the Materials Project database | GGA-PBE | relaxed
data_Be4Si2O9
_chemical_formula_sum 'Be16 Si8 O36'
_cell_length_a 8.6960
_cell_length_b 15.9324
_cell_length_c 4.6548
_cell_angle_alpha 90.00
_cell_angle_beta 90.00
_cell_angle_gamma 90.00
_symmetry_space_group_name_H-M 'C m c 21'
_symmetry_Int_Tables_number 36
loop_
_symmetry_equiv_pos_as_xyz
'x,y,z'
'-x,-y,z+1/2'
'-x,y,z'
'x,-y,z+1/2'
'x+1/2,y+1/2,z'
'-x+1/2,-y+1/2,z+1/2'
'-x+1/2,y+1/2,z'
'x+1/2,-y+1/2,z+1/2'
loop_
_atom_site_label
_atom_site_fract_x
_atom_site_fract_y
_atom_site_fract_z
_atom_site_occupancy
Be1 0.1778 0.0475 0.0000 1
Be2 0.1819 0.2839 0.4988 1
Si1 0.1809 0.3823 0.0011 1
O1 0.0000 0.0577 0.9299 1
O2 0.0000 0.2755 0.4285 1
O3 0.0000 0.4054 0.9629 1
O4 0.2233 0.0419 0.3423 1
O5 0.2236 0.2928 0.8439 1
O6 0.2285 0.3743 0.3436 1
# E above lowest polymorph: 0 meV/atom
# energy of formation from the pure elements: -2.83 eV per atom

---

(4)
# Be3SiO6 | the Materials Project database | GGA-PBE | relaxed
data_Be3SiO6
_chemical_formula_sum 'Be12 Si4 O24'
_cell_length_a 5.2667
_cell_length_b 4.6947
_cell_length_c 17.3740
_cell_angle_alpha 90.00
_cell_angle_beta 106.62
_cell_angle_gamma 90.00
_symmetry_space_group_name_H-M 'P 1 21/c 1'
_symmetry_Int_Tables_number 14
loop_
_symmetry_equiv_pos_as_xyz
'x,y,z'
'-x,-y,-z'
'-x,y+1/2,-z+1/2'
'x,-y+1/2,z+1/2'
loop_
_atom_site_label
_atom_site_fract_x
_atom_site_fract_y
_atom_site_fract_z
_atom_site_occupancy
Be1 0.0022 0.0827 0.2038 1
Be2 0.1921 0.5905 0.0398 1
Be3 0.4524 0.0977 0.1171 1
Si1 0.2377 0.0836 0.3766 1
O1 0.0659 0.5743 0.7923 1
O2 0.0917 0.0141 0.4451 1
O3 0.2512 0.5773 0.5494 1
O4 0.2593 0.0747 0.8566 1
O5 0.2673 0.0562 0.1745 1
O6 0.4660 0.0662 0.5946 1
# energy of formation from the pure elements: -2.65 eV per atom

---

| no. | final energy (eV per atom) | energy with MP2020 corrections (eV/atom) |
| --- | --- | --- |
| 1 | -7.012 | -7.424 |
| 2 | -7.455 | -7.847 |
| 3 | -7.111 | -7.523 |
| 4 | -6.868 | -7.280 |